1.
V6O5F19 | PBE+U | optimized geometry

a = 5.397 Å, b = 5.588 Å, c = 14.820 Å
α = 100.52°, β = 89.85°, γ = 91.48°
Fractional coordinates of all 30 atoms:
V 0.051 0.034 0.006
V 0.440 0.149 0.339
V 0.008 0.315 0.667
V 0.553 0.460 0.994
V 0.935 0.692 0.327
V 0.534 0.779 0.663
O 0.729 0.219 0.978
O 0.712 0.540 0.645
O 0.231 0.282 0.023
O 0.707 0.869 0.309
O 0.207 0.963 0.356
F 0.796 0.019 0.644
F 0.281 0.147 0.690
F 0.900 0.044 0.113
F 0.603 0.202 0.445
F 0.906 0.389 0.782
F 0.442 0.119 0.219
F 0.065 0.303 0.549
F 0.400 0.456 0.888
F 0.791 0.390 0.309
F 0.776 0.694 0.976
F 0.297 0.440 0.360
F 0.231 0.624 0.689
F 0.555 0.557 0.115
F 0.942 0.717 0.448
F 0.570 0.900 0.781
F 0.098 0.628 0.222
F 0.421 0.805 0.554
F 0.048 0.947 0.885
F 0.271 0.813 0.024

Summary:
space-group type	No. 1
M_tot	1.0	μB/cell
V	14.64	Å³/atom
formation energy	-2738	meV/atom
E above lowest polymorph	0.0013	eV per atom
MP2020-corrected energy	-6.5925	eV/atom

---

2.
V2O3F | PBE+U | optimized geometry

a = 5.593 Å, b = 9.840 Å, c = 5.571 Å
α = 78.17°, β = 65.55°, γ = 97.74°
Fractional coordinates of all 24 atoms:
V 0.913 0.774 0.637
V 0.626 0.250 0.876
V 0.519 0.000 0.498
V 0.733 0.500 0.253
V 0.250 0.498 0.741
V 0.339 0.727 0.115
V 0.126 0.250 0.376
V 0.002 0.003 0.010
O 0.927 0.153 0.773
O 0.582 0.847 0.733
O 0.325 0.347 0.979
O 0.813 0.346 0.496
O 0.907 0.103 0.302
O 0.345 0.397 0.450
O 0.114 0.906 0.703
O 0.171 0.654 0.519
O 0.670 0.654 0.018
O 0.439 0.154 0.256
O 0.081 0.847 0.232
O 0.138 0.595 0.049
F 0.844 0.398 0.950
F 0.651 0.603 0.550
F 0.408 0.103 0.801
F 0.601 0.897 0.201

Summary:
space-group type	No. 2
M_tot	12.0	μB/cell
V	11.03	Å³/atom
formation energy	-2631	meV/atom
E above lowest polymorph	0.0386	eV per atom
MP2020-corrected energy	-8.4522	eV/atom

---

3.
V4O7F5 | PBE+U | optimized geometry

a = 5.239 Å, b = 5.327 Å, c = 9.036 Å
α = 74.11°, β = 74.82°, γ = 61.76°
Fractional coordinates of all 16 atoms:
V 0.211 0.261 0.269
V 0.457 0.511 0.496
V 0.705 0.745 0.760
V 0.958 0.021 0.020
O 0.117 0.647 0.586
O 0.095 0.080 0.152
O 0.601 0.156 0.085
O 0.609 0.594 0.657
O 0.428 0.405 0.341
O 0.425 0.839 0.902
O 0.924 0.341 0.408
F 0.051 0.622 0.113
F 0.463 0.872 0.378
F 0.574 0.123 0.624
F 0.956 0.375 0.874
F 0.927 0.907 0.834

Summary:
space-group type	No. 1
M_tot	1.0	μB/cell
V	13.19	Å³/atom
formation energy	-2524	meV/atom
E above lowest polymorph	0.0319	eV per atom
MP2020-corrected energy	-7.5584	eV/atom

---

4.
V3O4F2 | PBE+U | optimized geometry

a = 4.614 Å, b = 4.614 Å, c = 9.048 Å
α = 90.00°, β = 90.00°, γ = 90.03°
Fractional coordinates of all 18 atoms:
V 0.000 0.000 0.023
V 0.000 0.000 0.334
V 0.000 0.000 0.644
V 0.500 0.500 0.144
V 0.500 0.500 0.833
V 0.500 0.500 0.522
O 0.203 0.797 0.172
O 0.203 0.797 0.495
O 0.297 0.297 0.994
O 0.297 0.297 0.672
O 0.703 0.703 0.994
O 0.703 0.703 0.672
O 0.797 0.203 0.172
O 0.797 0.203 0.495
F 0.192 0.808 0.833
F 0.307 0.307 0.333
F 0.693 0.693 0.333
F 0.808 0.192 0.833

Summary:
space-group type	No. 136
M_tot	10.0	μB/cell
V	10.70	Å³/atom
formation energy	-2659	meV/atom
E above lowest polymorph	0.0570	eV per atom
MP2020-corrected energy	-8.3119	eV/atom

---

5.
V2O3F3 | PBE+U | optimized geometry

a = 5.154 Å, b = 5.154 Å, c = 9.080 Å
α = 77.48°, β = 77.48°, γ = 62.38°
Fractional coordinates of all 16 atoms:
V 0.999 0.250 0.627
V 0.750 0.001 0.373
V 0.451 0.757 0.137
V 0.243 0.549 0.863
O 0.945 0.055 0.500
O 0.455 0.545 0.000
O 0.572 0.936 0.245
O 0.064 0.428 0.755
O 0.136 0.793 0.247
O 0.207 0.864 0.753
F 0.713 0.383 0.244
F 0.617 0.287 0.756
F 0.778 0.631 0.504
F 0.896 0.694 0.996
F 0.369 0.222 0.496
F 0.306 0.104 0.004

Summary:
space-group type	No. 5
M_tot	2.0	μB/cell
V	12.92	Å³/atom
formation energy	-2630	meV/atom
E above lowest polymorph	0.0249	eV per atom
MP2020-corrected energy	-7.4747	eV/atom

---

6.
V3O4F2 | PBE+U | optimized geometry

a = 5.116 Å, b = 5.581 Å, c = 5.096 Å
α = 91.86°, β = 61.55°, γ = 63.41°
Fractional coordinates of all 9 atoms:
V 0.314 0.062 0.347
V 0.732 0.435 0.137
V 0.683 0.989 0.645
O 0.536 0.214 0.068
O 0.181 0.243 0.751
O 0.881 0.200 0.399
O 0.721 0.767 0.311
F 0.186 0.740 0.519
F 0.534 0.755 0.929

Summary:
maximum piezoelectric response	1.15	C/m²
space-group type	No. 1
M_tot	5.0	μB/cell
V	12.07	Å³/atom
formation energy	-2659	meV/atom
E above lowest polymorph	0.0573	eV per atom
MP2020-corrected energy	-8.3116	eV/atom

---

7.
V4O7F5 | PBE+U | optimized geometry

a = 5.152 Å, b = 5.374 Å, c = 7.554 Å
α = 88.02°, β = 89.91°, γ = 88.33°
Fractional coordinates of all 16 atoms:
V 0.520 0.549 0.503
V 0.500 0.446 0.002
V 0.031 0.037 0.491
V 0.980 0.947 0.996
O 0.787 0.706 0.539
O 0.783 0.291 0.963
O 0.712 0.791 0.960
O 0.294 0.781 0.465
O 0.291 0.222 0.039
O 0.212 0.724 0.037
O 0.211 0.286 0.462
F 0.906 0.005 0.246
F 0.698 0.211 0.541
F 0.587 0.498 0.252
F 0.411 0.502 0.750
F 0.080 0.003 0.752

Summary:
space-group type	No. 1
M_tot	1.0	μB/cell
V	13.06	Å³/atom
formation energy	-2521	meV/atom
E above lowest polymorph	0.0355	eV per atom
MP2020-corrected energy	-7.5548	eV/atom

---

8.
V2O3F3 | PBE+U | optimized geometry

a = 5.338 Å, b = 7.508 Å, c = 5.410 Å
α = 91.18°, β = 89.86°, γ = 90.68°
Fractional coordinates of all 16 atoms:
V 0.471 0.494 0.530
V 0.477 0.024 0.467
V 0.983 0.525 0.039
V 0.979 0.995 0.962
O 0.785 0.528 0.276
O 0.791 0.969 0.720
O 0.565 0.241 0.496
O 0.231 0.028 0.279
O 0.232 0.466 0.723
O 0.062 0.741 0.002
F 0.946 0.253 0.003
F 0.720 0.960 0.221
F 0.733 0.528 0.785
F 0.449 0.753 0.502
F 0.281 0.464 0.216
F 0.297 0.030 0.778

Summary:
space-group type	No. 1
M_tot	2.0	μB/cell
V	13.55	Å³/atom
formation energy	-2630	meV/atom
E above lowest polymorph	0.0250	eV per atom
MP2020-corrected energy	-7.4746	eV/atom